[1]
MoO3: optimized geometry, PBE+U.

- Calculated volume: 108 Å³/cell
- Formation energy from the elements: -1.8861 eV/atom

a = 3.764 Å, b = 3.930 Å, c = 7.492 Å
α = 76.57°, β = 90.00°, γ = 90.00°
Fractional coordinates of all 8 atoms:
O  0.750  0.901  0.677
O  0.250  0.099  0.323
O  0.250  0.436  0.631
O  0.750  0.564  0.369
O  0.250  0.723  0.063
O  0.750  0.277  0.937
Mo  0.750  0.343  0.704
Mo  0.250  0.657  0.296



[2]
CaMn6O5F7: optimized geometry, PBE+U.

- Calculated volume: 269 Å³/cell
- Energy relative to the lowest polymorph listed for this composition: 43.8 meV/atom
- Formation energy from the elements: -2.5657 eV/atom

a = 7.152 Å, b = 6.658 Å, c = 6.047 Å
α = 89.21°, β = 77.33°, γ = 73.57°
Fractional coordinates of all 19 atoms:
F  0.003  0.272  0.681
F  0.353  0.407  0.460
F  0.651  0.617  0.087
F  0.331  0.393  0.984
F  0.304  0.966  0.826
F  0.654  0.066  0.643
F  0.984  0.610  0.387
Mn  0.993  0.042  0.944
Mn  0.843  0.590  0.757
Mn  0.496  0.079  0.955
Mn  0.159  0.312  0.323
Mn  0.673  0.358  0.332
Mn  0.320  0.624  0.747
O  0.708  0.103  0.093
O  0.611  0.585  0.593
O  0.355  0.046  0.246
O  0.022  0.764  0.832
O  0.971  0.246  0.188
Ca  0.651  0.848  0.360



[3]
MgV2Ge4O12: optimized geometry, PBE+U.

- Calculated volume: 240 Å³/cell
- Energy relative to the lowest polymorph listed for this composition: 0.0 meV/atom
- Formation energy from the elements: -2.3112 eV/atom

a = 5.561 Å, b = 6.869 Å, c = 6.861 Å
α = 80.92°, β = 73.31°, γ = 73.32°
Fractional coordinates of all 19 atoms:
O  0.342  0.352  0.877
O  0.092  0.667  0.610
O  0.724  0.928  0.386
O  0.844  0.198  0.019
O  0.657  0.980  0.802
O  0.905  0.312  0.398
O  0.358  0.031  0.181
O  0.776  0.614  0.070
O  0.595  0.602  0.689
O  0.408  0.390  0.333
O  0.141  0.819  0.969
O  0.159  0.124  0.648
Mg  0.750  0.271  0.729
Ge  0.733  0.386  0.202
Ge  0.767  0.797  0.615
Ge  0.251  0.615  0.808
Ge  0.248  0.193  0.385
V  0.250  0.088  0.913
V  0.750  0.902  0.098



[4]
Mn12O7F17: optimized geometry, PBE+U.

- Calculated volume: 436 Å³/cell
- Energy relative to the lowest polymorph listed for this composition: 20.2 meV/atom
- Formation energy from the elements: -2.5569 eV/atom

a = 4.762 Å, b = 5.747 Å, c = 15.987 Å
α = 90.07°, β = 90.26°, γ = 94.10°
Fractional coordinates of all 36 atoms:
Mn  0.526  0.668  0.408
Mn  0.018  0.846  0.591
Mn  0.022  0.145  0.756
Mn  0.520  0.666  0.072
Mn  0.021  0.170  0.093
Mn  0.510  0.343  0.911
Mn  0.491  0.683  0.736
Mn  0.502  0.348  0.584
Mn  0.506  0.343  0.249
Mn  0.002  0.843  0.916
Mn  0.006  0.843  0.251
Mn  0.024  0.166  0.429
O  0.224  0.110  0.866
O  0.240  0.110  0.538
O  0.731  0.612  0.298
O  0.732  0.610  0.963
O  0.208  0.892  0.698
O  0.231  0.111  0.203
O  0.717  0.620  0.634
F  0.259  0.609  0.184
F  0.268  0.610  0.850
F  0.214  0.883  0.026
F  0.756  0.123  0.650
F  0.719  0.382  0.474
F  0.730  0.377  0.801
F  0.758  0.110  0.980
F  0.760  0.108  0.316
F  0.218  0.883  0.362
F  0.770  0.886  0.145
F  0.270  0.385  0.354
F  0.255  0.388  0.687
F  0.272  0.384  0.018
F  0.714  0.383  0.139
F  0.263  0.601  0.518
F  0.784  0.880  0.484
F  0.757  0.880  0.815



[5]
CsTbMo2O8: optimized geometry, PBE+U.

- Calculated volume: 419 Å³/cell
- Formation energy from the elements: -2.5463 eV/atom

a = 5.117 Å, b = 8.415 Å, c = 9.724 Å
α = 90.00°, β = 90.00°, γ = 90.00°
Fractional coordinates of all 24 atoms:
O  0.389  0.000  0.357
O  0.260  0.171  0.821
O  0.740  0.171  0.179
O  0.249  0.000  0.068
O  0.249  0.500  0.932
O  0.260  0.329  0.179
O  0.740  0.329  0.821
O  0.740  0.829  0.179
O  0.751  0.000  0.932
O  0.751  0.500  0.068
O  0.260  0.829  0.821
O  0.389  0.500  0.643
O  0.260  0.671  0.179
O  0.611  0.500  0.357
O  0.611  0.000  0.643
O  0.740  0.671  0.821
Mo  0.525  0.500  0.809
Mo  0.475  0.500  0.191
Mo  0.475  0.000  0.809
Mo  0.525  0.000  0.191
Tb  0.000  0.750  0.000
Tb  0.000  0.250  0.000
Cs  0.000  0.250  0.500
Cs  0.000  0.750  0.500



[6]
Co2OF3: optimized geometry, PBE+U.

- Calculated volume: 274 Å³/cell
- Energy relative to the lowest polymorph listed for this composition: 364.9 meV/atom
- Formation energy from the elements: -1.6153 eV/atom

a = 4.735 Å, b = 4.735 Å, c = 12.237 Å
α = 90.00°, β = 90.00°, γ = 92.91°
Fractional coordinates of all 24 atoms:
F  0.194  0.790  0.875
F  0.278  0.278  0.000
F  0.790  0.194  0.125
F  0.204  0.813  0.622
F  0.813  0.204  0.622
F  0.706  0.706  0.749
F  0.790  0.194  0.875
F  0.706  0.706  0.251
F  0.194  0.790  0.125
F  0.204  0.813  0.378
F  0.700  0.700  0.500
F  0.813  0.204  0.378
Co  0.023  0.023  0.751
Co  0.489  0.489  0.626
Co  0.492  0.492  0.875
Co  0.492  0.492  0.125
Co  0.960  0.960  0.000
Co  0.489  0.489  0.374
Co  0.024  0.024  0.500
Co  0.023  0.023  0.249
O  0.319  0.319  0.752
O  0.663  0.663  0.000
O  0.319  0.319  0.248
O  0.317  0.317  0.500



[7]
Er2MnGe4O12: optimized geometry, PBE+U.

- Calculated volume: 499 Å³/cell
- Formation energy from the elements: -2.6743 eV/atom

a = 5.007 Å, b = 9.984 Å, c = 9.984 Å
α = 90.51°, β = 90.00°, γ = 90.00°
Fractional coordinates of all 38 atoms:
Er  0.500  0.000  0.500
Er  0.500  0.250  0.250
Er  0.500  0.500  0.000
Er  0.500  0.750  0.750
Mn  0.500  0.000  0.000
Mn  0.500  0.500  0.500
O  0.745  0.937  0.670
O  0.738  0.435  0.332
O  0.262  0.168  0.065
O  0.831  0.370  0.630
O  0.738  0.832  0.935
O  0.255  0.830  0.563
O  0.255  0.063  0.330
O  0.262  0.935  0.832
O  0.831  0.130  0.870
O  0.830  0.873  0.373
O  0.169  0.870  0.130
O  0.169  0.630  0.370
O  0.255  0.670  0.937
O  0.170  0.373  0.873
O  0.262  0.565  0.668
O  0.745  0.330  0.063
O  0.255  0.437  0.170
O  0.170  0.127  0.627
O  0.262  0.332  0.435
O  0.830  0.627  0.127
O  0.745  0.170  0.437
O  0.745  0.563  0.830
O  0.738  0.065  0.168
O  0.738  0.668  0.565
Ge  0.996  0.753  0.021
Ge  0.996  0.747  0.479
Ge  0.004  0.479  0.747
Ge  0.004  0.247  0.979
Ge  0.996  0.979  0.247
Ge  0.004  0.253  0.521
Ge  0.004  0.021  0.753
Ge  0.996  0.521  0.253



[8]
Na2LiMnPCO7: optimized geometry, PBE+U.

- Calculated volume: 620 Å³/cell
- Energy relative to the lowest polymorph listed for this composition: 2.3 meV/atom
- Formation energy from the elements: -2.3786 eV/atom

a = 6.792 Å, b = 8.879 Å, c = 10.289 Å
α = 90.86°, β = 90.19°, γ = 91.01°
Fractional coordinates of all 52 atoms:
O  0.255  0.915  0.144
O  0.747  0.566  0.083
O  0.253  0.426  0.417
O  0.749  0.921  0.487
O  0.248  0.121  0.019
O  0.746  0.084  0.319
O  0.242  0.570  0.207
O  0.565  0.322  0.612
O  0.073  0.679  0.408
O  0.770  0.570  0.596
O  0.747  0.852  0.778
O  0.759  0.837  0.279
O  0.923  0.310  0.094
O  0.439  0.680  0.398
O  0.928  0.305  0.601
O  0.754  0.924  0.990
O  0.065  0.682  0.901
O  0.224  0.906  0.641
O  0.561  0.312  0.105
O  0.250  0.136  0.736
O  0.772  0.421  0.802
O  0.242  0.147  0.236
O  0.779  0.097  0.831
O  0.228  0.576  0.698
O  0.246  0.116  0.519
O  0.230  0.423  0.903
O  0.432  0.672  0.890
O  0.758  0.427  0.294
Na  0.503  0.255  0.378
Na  0.235  0.918  0.879
Na  0.999  0.743  0.126
Na  0.247  0.916  0.379
Na  0.500  0.743  0.124
Na  0.997  0.254  0.375
Na  0.502  0.747  0.627
Na  0.501  0.253  0.874
Li  0.970  0.275  0.888
Li  0.755  0.100  0.123
Li  0.778  0.088  0.630
Li  0.037  0.719  0.609
Mn  0.247  0.354  0.617
Mn  0.750  0.640  0.883
Mn  0.755  0.635  0.394
Mn  0.244  0.359  0.107
P  0.759  0.407  0.651
P  0.238  0.587  0.850
P  0.747  0.408  0.143
P  0.252  0.586  0.359
C  0.240  0.051  0.632
C  0.249  0.060  0.133
C  0.751  0.948  0.363
C  0.760  0.958  0.867



Q: Which formula does entry 4 have?
A: Mn12O7F17



Q: Number 2 is which compound?
A: CaMn6O5F7



Q: What is the formation energy from the elements in the seventh record?
A: -2.6743 eV/atom



Please write out number 4 again, unchanged.
Mn12O7F17: optimized geometry, PBE+U.

- Calculated volume: 436 Å³/cell
- Energy relative to the lowest polymorph listed for this composition: 20.2 meV/atom
- Formation energy from the elements: -2.5569 eV/atom

a = 4.762 Å, b = 5.747 Å, c = 15.987 Å
α = 90.07°, β = 90.26°, γ = 94.10°
Fractional coordinates of all 36 atoms:
Mn  0.526  0.668  0.408
Mn  0.018  0.846  0.591
Mn  0.022  0.145  0.756
Mn  0.520  0.666  0.072
Mn  0.021  0.170  0.093
Mn  0.510  0.343  0.911
Mn  0.491  0.683  0.736
Mn  0.502  0.348  0.584
Mn  0.506  0.343  0.249
Mn  0.002  0.843  0.916
Mn  0.006  0.843  0.251
Mn  0.024  0.166  0.429
O  0.224  0.110  0.866
O  0.240  0.110  0.538
O  0.731  0.612  0.298
O  0.732  0.610  0.963
O  0.208  0.892  0.698
O  0.231  0.111  0.203
O  0.717  0.620  0.634
F  0.259  0.609  0.184
F  0.268  0.610  0.850
F  0.214  0.883  0.026
F  0.756  0.123  0.650
F  0.719  0.382  0.474
F  0.730  0.377  0.801
F  0.758  0.110  0.980
F  0.760  0.108  0.316
F  0.218  0.883  0.362
F  0.770  0.886  0.145
F  0.270  0.385  0.354
F  0.255  0.388  0.687
F  0.272  0.384  0.018
F  0.714  0.383  0.139
F  0.263  0.601  0.518
F  0.784  0.880  0.484
F  0.757  0.880  0.815